Entry 1:
CsTe3Mo3 PBE optimized geometry; crystal system = monoclinic; uncorrected energy = -92.56 eV for the cell shown
1.0
10.745 0.000 0.000
0.000 4.631 0.000
-5.370 0.000 9.315
Cs Te Mo
2 6 6
Direct
0.166 0.250 0.333 Cs
0.834 0.750 0.667 Cs
0.193 0.250 0.698 Te
0.198 0.750 0.005 Te
0.496 0.750 0.694 Te
0.504 0.250 0.306 Te
0.802 0.250 0.995 Te
0.807 0.750 0.302 Te
0.356 0.750 0.857 Mo
0.357 0.250 0.002 Mo
0.499 0.250 0.856 Mo
0.501 0.750 0.144 Mo
0.643 0.750 0.998 Mo
0.644 0.250 0.143 Mo

Entry 2:
K3NaSi3Sn2O12 PBE optimized geometry; uncorrected energy = -806.27 eV for the cell shown
1.0
-3.624 -7.217 4.734
6.722 5.237 3.875
-15.735 13.679 8.808
O K Si Sn Na
72 18 18 12 6
Direct
0.851 0.349 0.922 O
0.876 0.367 0.641 O
0.517 0.683 0.256 O
0.984 0.816 0.089 O
0.842 0.543 0.026 O
0.966 0.175 0.308 O
0.349 0.851 0.578 O
0.832 0.816 0.589 O
0.317 0.483 0.756 O
0.683 0.165 0.744 O
0.543 0.701 0.974 O
0.165 0.683 0.756 O
0.651 0.149 0.422 O
0.517 0.835 0.756 O
0.825 0.791 0.308 O
0.876 0.509 0.141 O
0.851 0.501 0.422 O
0.124 0.633 0.359 O
0.842 0.299 0.526 O
0.367 0.876 0.859 O
0.683 0.517 0.244 O
0.501 0.851 0.078 O
0.158 0.701 0.474 O
0.483 0.317 0.744 O
0.168 0.984 0.911 O
0.483 0.165 0.244 O
0.124 0.491 0.859 O
0.349 0.499 0.078 O
0.701 0.158 0.026 O
0.509 0.876 0.359 O
0.835 0.317 0.244 O
0.209 0.175 0.808 O
0.299 0.842 0.974 O
0.149 0.651 0.078 O
0.034 0.209 0.192 O
0.791 0.825 0.192 O
0.984 0.168 0.589 O
0.175 0.209 0.692 O
0.509 0.633 0.859 O
0.651 0.501 0.922 O
0.791 0.966 0.692 O
0.168 0.184 0.411 O
0.317 0.835 0.256 O
0.825 0.034 0.808 O
0.491 0.124 0.641 O
0.543 0.842 0.474 O
0.966 0.791 0.808 O
0.165 0.483 0.256 O
0.034 0.825 0.692 O
0.816 0.832 0.911 O
0.016 0.832 0.411 O
0.457 0.299 0.026 O
0.633 0.124 0.141 O
0.158 0.457 0.974 O
0.367 0.491 0.359 O
0.816 0.984 0.411 O
0.499 0.149 0.922 O
0.149 0.499 0.578 O
0.016 0.184 0.911 O
0.175 0.966 0.192 O
0.457 0.158 0.526 O
0.209 0.034 0.308 O
0.633 0.509 0.641 O
0.499 0.349 0.422 O
0.835 0.517 0.744 O
0.832 0.016 0.089 O
0.184 0.016 0.589 O
0.501 0.651 0.578 O
0.184 0.168 0.089 O
0.701 0.543 0.526 O
0.299 0.457 0.474 O
0.491 0.367 0.141 O
0.333 0.315 0.917 K
0.018 0.685 0.583 K
0.351 0.000 0.750 K
0.685 0.018 0.917 K
0.649 0.649 0.750 K
0.982 0.667 0.917 K
0.351 0.351 0.250 K
0.982 0.315 0.417 K
0.667 0.982 0.583 K
0.333 0.018 0.417 K
0.649 0.000 0.250 K
0.018 0.333 0.083 K
0.667 0.685 0.083 K
0.685 0.667 0.417 K
0.315 0.333 0.583 K
0.000 0.649 0.250 K
0.000 0.351 0.750 K
0.315 0.982 0.083 K
0.963 0.333 0.583 Si
0.296 0.000 0.250 Si
0.000 0.704 0.750 Si
0.371 0.333 0.083 Si
0.667 0.037 0.083 Si
0.000 0.296 0.250 Si
0.629 0.963 0.417 Si
0.667 0.629 0.583 Si
0.037 0.667 0.417 Si
0.963 0.629 0.083 Si
0.629 0.667 0.917 Si
0.371 0.037 0.583 Si
0.704 0.704 0.250 Si
0.333 0.963 0.917 Si
0.037 0.371 0.917 Si
0.333 0.371 0.417 Si
0.296 0.296 0.750 Si
0.704 0.000 0.750 Si
0.667 0.333 0.482 Sn
0.667 0.333 0.982 Sn
0.000 0.000 0.649 Sn
0.333 0.667 0.316 Sn
0.333 0.667 0.518 Sn
0.667 0.333 0.184 Sn
0.333 0.667 0.018 Sn
0.667 0.333 0.684 Sn
0.000 0.000 0.149 Sn
0.000 0.000 0.351 Sn
0.000 0.000 0.851 Sn
0.333 0.667 0.816 Sn
0.667 0.333 0.333 Na
0.333 0.667 0.667 Na
0.000 0.000 0.500 Na
0.667 0.333 0.833 Na
0.000 0.000 0.000 Na
0.333 0.667 0.167 Na

Entry 3:
Ba2Eu2ZnPtO8 PBE optimized geometry; crystal system = orthorhombic; uncorrected energy = -402.56 eV for the cell shown
1.0
13.618 0.000 0.000
0.000 5.853 0.000
0.000 0.000 10.536
Ba Eu Zn Pt O
8 8 4 4 32
Direct
0.083 0.250 0.101 Ba
0.215 0.750 0.323 Ba
0.285 0.250 0.823 Ba
0.417 0.750 0.601 Ba
0.583 0.250 0.399 Ba
0.715 0.750 0.177 Ba
0.785 0.250 0.677 Ba
0.917 0.750 0.899 Ba
0.082 0.250 0.487 Eu
0.140 0.750 0.690 Eu
0.360 0.250 0.190 Eu
0.418 0.750 0.987 Eu
0.582 0.250 0.013 Eu
0.640 0.750 0.810 Eu
0.860 0.250 0.310 Eu
0.918 0.750 0.513 Eu
0.026 0.250 0.778 Zn
0.474 0.750 0.278 Zn
0.526 0.250 0.722 Zn
0.974 0.750 0.222 Zn
0.192 0.750 0.972 Pt
0.308 0.250 0.472 Pt
0.692 0.750 0.528 Pt
0.808 0.250 0.028 Pt
0.005 0.006 0.643 O
0.005 0.494 0.643 O
0.096 0.750 0.121 O
0.112 0.505 0.876 O
0.112 0.995 0.876 O
0.211 0.250 0.322 O
0.223 0.011 0.559 O
0.223 0.489 0.559 O
0.277 0.511 0.059 O
0.277 0.989 0.059 O
0.289 0.750 0.822 O
0.388 0.005 0.376 O
0.388 0.495 0.376 O
0.404 0.250 0.621 O
0.495 0.506 0.143 O
0.495 0.994 0.143 O
0.505 0.006 0.857 O
0.505 0.494 0.857 O
0.596 0.750 0.379 O
0.612 0.505 0.624 O
0.612 0.995 0.624 O
0.711 0.250 0.178 O
0.723 0.011 0.941 O
0.723 0.489 0.941 O
0.777 0.511 0.441 O
0.777 0.989 0.441 O
0.789 0.750 0.678 O
0.888 0.005 0.124 O
0.888 0.495 0.124 O
0.904 0.250 0.879 O
0.995 0.506 0.357 O
0.995 0.994 0.357 O

Entry 4:
Na2Ca2Hf6Si3S9O48 PBE optimized geometry; crystal system = triclinic; uncorrected energy = -1548.68 eV for the cell shown
1.0
8.991 0.000 0.000
0.004 15.575 0.000
0.016 0.013 23.453
Na Ca Hf Si S O
6 6 18 9 27 144
Direct
0.000 0.000 0.000 Na
0.003 0.005 0.507 Na
0.009 0.677 0.162 Na
0.486 0.175 0.666 Na
0.491 0.507 0.004 Na
0.499 0.510 0.504 Na
0.007 0.680 0.021 Ca
0.490 0.174 0.524 Ca
0.499 0.511 0.649 Ca
0.504 0.176 0.819 Ca
0.992 0.676 0.318 Ca
0.998 0.010 0.147 Ca
0.000 0.334 0.482 Hf
0.000 0.339 0.190 Hf
0.001 0.686 0.814 Hf
0.003 0.002 0.645 Hf
0.003 0.339 0.691 Hf
0.003 0.345 0.979 Hf
0.487 0.832 0.979 Hf
0.491 0.839 0.692 Hf
0.492 0.501 0.143 Hf
0.493 0.840 0.187 Hf
0.494 0.844 0.480 Hf
0.496 0.185 0.022 Hf
0.500 0.179 0.312 Hf
0.503 0.501 0.855 Hf
0.506 0.508 0.350 Hf
0.989 0.003 0.854 Hf
0.995 0.999 0.354 Hf
0.999 0.686 0.523 Hf
0.141 0.194 0.588 Si
0.142 0.824 0.919 Si
0.213 0.842 0.585 Si
0.282 0.340 0.084 Si
0.352 0.694 0.087 Si
0.646 0.365 0.250 Si
0.647 0.322 0.918 Si
0.848 0.822 0.418 Si
0.849 0.864 0.750 Si
0.136 0.485 0.582 S
0.144 0.154 0.253 S
0.146 0.528 0.915 S
0.148 0.863 0.250 S
0.203 0.174 0.920 S
0.211 0.507 0.249 S
0.284 0.008 0.749 S
0.293 0.673 0.420 S
0.349 0.029 0.416 S
0.349 0.363 0.750 S
0.350 0.653 0.753 S
0.352 0.324 0.417 S
0.360 0.985 0.082 S
0.639 0.653 0.248 S
0.641 0.699 0.583 S
0.642 0.983 0.587 S
0.645 0.027 0.921 S
0.704 0.008 0.253 S
0.704 0.673 0.916 S
0.716 0.342 0.585 S
0.780 0.842 0.085 S
0.792 0.174 0.417 S
0.793 0.509 0.753 S
0.849 0.526 0.420 S
0.853 0.200 0.082 S
0.854 0.483 0.087 S
0.856 0.152 0.748 S
0.054 0.103 0.593 O
0.061 0.791 0.974 O
0.064 0.569 0.573 O
0.071 0.244 0.529 O
0.074 0.111 0.304 O
0.074 0.445 0.635 O
0.076 0.569 0.865 O
0.077 0.240 0.246 O
0.078 0.922 0.905 O
0.081 0.441 0.923 O
0.082 0.903 0.200 O
0.089 0.776 0.257 O
0.095 0.259 0.641 O
0.102 0.428 0.532 O
0.103 0.097 0.914 O
0.104 0.925 0.590 O
0.106 0.250 0.932 O
0.110 0.762 0.863 O
0.111 0.755 0.575 O
0.114 0.917 0.302 O
0.115 0.582 0.255 O
0.121 0.428 0.243 O
0.130 0.103 0.202 O
0.132 0.578 0.968 O
0.176 0.684 0.089 O
0.177 0.329 0.141 O
0.177 0.356 0.029 O
0.182 0.360 0.745 O
0.185 0.018 0.404 O
0.187 0.333 0.424 O
0.188 0.019 0.698 O
0.188 0.663 0.763 O
0.191 0.997 0.801 O
0.194 0.657 0.470 O
0.198 0.994 0.087 O
0.211 0.688 0.368 O
0.286 0.189 0.868 O
0.298 0.493 0.585 O
0.302 0.158 0.970 O
0.307 0.165 0.266 O
0.307 0.496 0.302 O
0.308 0.519 0.199 O
0.311 0.517 0.904 O
0.314 0.861 0.245 O
0.316 0.856 0.529 O
0.318 0.188 0.587 O
0.319 0.829 0.640 O
0.323 0.834 0.926 O
0.364 0.080 0.467 O
0.370 0.603 0.701 O
0.376 0.929 0.742 O
0.380 0.267 0.366 O
0.381 0.083 0.753 O
0.381 0.417 0.802 O
0.384 0.254 0.075 O
0.391 0.424 0.091 O
0.391 0.748 0.432 O
0.392 0.594 0.414 O
0.393 0.929 0.033 O
0.398 0.758 0.141 O
0.406 0.276 0.756 O
0.413 0.402 0.699 O
0.413 0.412 0.406 O
0.416 0.943 0.422 O
0.418 0.072 0.366 O
0.419 0.740 0.746 O
0.421 0.290 0.467 O
0.421 0.611 0.803 O
0.421 0.945 0.136 O
0.425 0.742 0.030 O
0.432 0.069 0.075 O
0.441 0.602 0.094 O
0.565 0.276 0.974 O
0.566 0.411 0.197 O
0.568 0.420 0.911 O
0.569 0.739 0.243 O
0.571 0.271 0.266 O
0.573 0.613 0.302 O
0.574 0.613 0.585 O
0.577 0.068 0.583 O
0.577 0.744 0.532 O
0.579 0.059 0.869 O
0.579 0.938 0.637 O
0.589 0.940 0.933 O
0.599 0.599 0.904 O
0.601 0.598 0.199 O
0.605 0.083 0.267 O
0.610 0.932 0.246 O
0.611 0.425 0.307 O
0.613 0.752 0.923 O
0.613 0.932 0.534 O
0.616 0.084 0.971 O
0.616 0.749 0.635 O
0.622 0.420 0.586 O
0.627 0.270 0.861 O
0.628 0.264 0.582 O
0.673 0.853 0.738 O
0.676 0.838 0.435 O
0.679 0.519 0.413 O
0.682 0.839 0.138 O
0.686 0.851 0.034 O
0.688 0.489 0.093 O
0.690 0.190 0.075 O
0.690 0.493 0.803 O
0.692 0.187 0.366 O
0.694 0.161 0.751 O
0.705 0.526 0.702 O
0.708 0.156 0.468 O
0.785 0.652 0.968 O
0.790 0.028 0.203 O
0.799 0.660 0.253 O
0.802 0.684 0.866 O
0.805 0.689 0.575 O
0.805 0.995 0.304 O
0.806 0.990 0.592 O
0.811 0.338 0.637 O
0.811 0.351 0.532 O
0.813 0.022 0.914 O
0.819 0.338 0.936 O
0.822 0.351 0.240 O
0.866 0.762 0.086 O
0.868 0.769 0.361 O
0.874 0.919 0.089 O
0.875 0.582 0.471 O
0.879 0.250 0.136 O
0.881 0.432 0.034 O
0.881 0.925 0.806 O
0.884 0.430 0.744 O
0.885 0.253 0.423 O
0.891 0.581 0.766 O
0.894 0.099 0.699 O
0.894 0.100 0.404 O
0.908 0.439 0.432 O
0.913 0.558 0.368 O
0.915 0.437 0.138 O
0.918 0.244 0.033 O
0.918 0.568 0.084 O
0.921 0.114 0.087 O
0.921 0.116 0.801 O
0.921 0.769 0.762 O
0.923 0.241 0.741 O
0.927 0.911 0.696 O
0.927 0.920 0.411 O
0.929 0.776 0.474 O

Entry 5:
Mg5Si9 PBE optimized geometry; polymorph energy (0 for the lowest one) = 0.154 eV per formula unit; crystal system = triclinic
1.0
6.888 0.000 0.000
3.063 6.632 0.000
1.494 -0.256 11.737
Mg Si
10 18
Direct
0.000 0.000 0.000 Mg
0.024 0.146 0.707 Mg
0.063 0.722 0.780 Mg
0.103 0.472 0.551 Mg
0.276 0.535 0.050 Mg
0.354 0.825 0.208 Mg
0.521 0.506 0.601 Mg
0.691 0.932 0.615 Mg
0.734 0.981 0.244 Mg
0.918 0.180 0.422 Mg
0.039 0.388 0.923 Si
0.065 0.745 0.369 Si
0.163 0.255 0.249 Si
0.167 0.845 0.540 Si
0.258 0.158 0.057 Si
0.303 0.301 0.754 Si
0.363 0.423 0.301 Si
0.437 0.706 0.854 Si
0.440 0.923 0.424 Si
0.506 0.214 0.458 Si
0.553 0.913 0.949 Si
0.649 0.345 0.145 Si
0.659 0.127 0.823 Si
0.685 0.391 0.930 Si
0.776 0.574 0.728 Si
0.776 0.624 0.403 Si
0.835 0.523 0.206 Si
0.853 0.715 0.041 Si

Repeat the fifth record exactly.
Mg5Si9 PBE optimized geometry; polymorph energy (0 for the lowest one) = 0.154 eV per formula unit; crystal system = triclinic
1.0
6.888 0.000 0.000
3.063 6.632 0.000
1.494 -0.256 11.737
Mg Si
10 18
Direct
0.000 0.000 0.000 Mg
0.024 0.146 0.707 Mg
0.063 0.722 0.780 Mg
0.103 0.472 0.551 Mg
0.276 0.535 0.050 Mg
0.354 0.825 0.208 Mg
0.521 0.506 0.601 Mg
0.691 0.932 0.615 Mg
0.734 0.981 0.244 Mg
0.918 0.180 0.422 Mg
0.039 0.388 0.923 Si
0.065 0.745 0.369 Si
0.163 0.255 0.249 Si
0.167 0.845 0.540 Si
0.258 0.158 0.057 Si
0.303 0.301 0.754 Si
0.363 0.423 0.301 Si
0.437 0.706 0.854 Si
0.440 0.923 0.424 Si
0.506 0.214 0.458 Si
0.553 0.913 0.949 Si
0.649 0.345 0.145 Si
0.659 0.127 0.823 Si
0.685 0.391 0.930 Si
0.776 0.574 0.728 Si
0.776 0.624 0.403 Si
0.835 0.523 0.206 Si
0.853 0.715 0.041 Si